{
  "formula": "MnIr",
  "functional": "r2SCAN",
  "state": "optimized geometry",
  "lattice_angstrom": [[3.049, 0.000, 0.000], [0.000, 4.277, 0.000], [0.000, 0.000, 4.277]],
  "species": ["Mn", "Mn", "Ir", "Ir"],
  "frac_coords": [[0.500, 0.500, 0.000], [0.500, 0.000, 0.500], [0.000, 0.500, 0.500], [0.000, 0.000, 0.000]],
  "m_tot_mub_per_fu": 4.0,
  "energy_ev_per_fu": -67.98
}